The following is a DFT calculation (PBE-GGA) of a relaxed Mg5Si9 crystal. Values from VASP.

Geometry as Quantum ESPRESSO input:
```
&SYSTEM
  ibrav = 0, nat = 28, ntyp = 2
/
ATOMIC_SPECIES
Mg 24.30 Mg.upf
Si 28.09 Si.upf
CELL_PARAMETERS angstrom
-4.156 -3.434 0.214
5.444 -3.445 3.553
-3.283 6.601 10.450
ATOMIC_POSITIONS crystal
Mg 0.121 0.049 0.717
Mg 0.241 0.938 0.274
Mg 0.933 0.330 0.547
Mg 0.099 0.217 0.102
Mg 0.536 0.612 0.269
Mg 0.347 0.105 0.510
Mg 0.395 0.764 0.849
Mg 0.842 0.513 0.938
Mg 0.502 0.555 0.500
Mg 0.788 0.937 0.444
Si 0.644 0.122 0.956
Si 0.301 0.330 0.914
Si 0.628 0.271 0.156
Si 0.547 0.872 0.644
Si 0.604 0.285 0.357
Si 0.090 0.717 0.605
Si 0.979 0.965 0.911
Si 0.810 0.769 0.098
Si 0.478 0.386 0.687
Si 0.086 0.426 0.755
Si 0.355 0.590 0.051
Si 0.675 0.157 0.763
Si 0.035 0.643 0.402
Si 0.302 0.911 0.043
Si 0.753 0.003 0.229
Si 0.799 0.689 0.744
Si 0.020 0.553 0.192
Si 0.091 0.293 0.342
```

Summary:
Energy above the most stable polymorph in this dataset   66 meV per atom

The following is a DFT calculation (PBE-GGA) of a relaxed Na6Nb6In2Si9S3O48 crystal. Values from VASP.

Geometry as Quantum ESPRESSO input:
```
&SYSTEM
  ibrav = 0, nat = 222, ntyp = 6
/
ATOMIC_SPECIES
Na 22.99 Na.upf
O 16.00 O.upf
Si 28.09 Si.upf
In 114.82 In.upf
S 32.06 S.upf
Nb 92.91 Nb.upf
CELL_PARAMETERS angstrom
17.970 -0.027 0.023
-4.504 7.810 -0.008
0.029 -0.006 22.837
ATOMIC_POSITIONS crystal
Na 0.686 0.370 0.243
Na 0.006 0.017 0.994
Na 0.993 0.365 0.747
Na 0.167 0.650 0.166
Na 0.492 0.618 0.249
Na 0.842 0.351 0.336
Na 0.674 0.673 0.165
Na 0.342 0.333 0.831
Na 0.822 0.630 0.752
Na 0.829 0.319 0.825
Na 0.176 0.675 0.662
Na 0.323 0.018 0.254
Na 0.506 0.997 0.495
Na 0.657 0.670 0.659
Na 0.187 0.006 0.740
Na 0.504 0.996 0.998
Na 0.328 0.342 0.331
Na 0.004 0.012 0.500
O 0.572 0.656 0.074
O 0.343 0.525 0.249
O 0.018 0.839 0.693
O 0.848 0.166 0.026
O 0.950 0.536 0.137
O 0.090 0.696 0.754
O 0.256 0.144 0.927
O 0.518 0.197 0.192
O 0.927 0.490 0.425
O 0.412 0.022 0.085
O 0.262 0.711 0.256
O 0.391 0.971 0.417
O 0.590 0.485 0.253
O 0.843 0.161 0.749
O 0.907 0.978 0.408
O 0.149 0.463 0.752
O 0.647 0.474 0.759
O 0.675 0.499 0.072
O 0.066 0.491 0.855
O 0.239 0.173 0.530
O 0.928 0.542 0.031
O 0.609 0.026 0.302
O 0.445 0.519 0.147
O 0.927 0.374 0.925
O 0.082 0.484 0.970
O 0.488 0.177 0.307
O 0.008 0.189 0.917
O 0.083 0.978 0.193
O 0.340 0.165 0.751
O 0.310 0.121 0.419
O 0.817 0.122 0.142
O 0.094 0.018 0.307
O 0.753 0.851 0.072
O 0.592 0.021 0.590
O 0.989 0.803 0.086
O 0.416 0.014 0.808
O 0.760 0.673 0.969
O 0.484 0.814 0.091
O 0.253 0.658 0.571
O 0.750 0.857 0.358
O 0.234 0.318 0.744
O 0.342 0.147 0.032
O 0.759 0.639 0.862
O 0.234 0.310 0.025
O 0.423 0.542 0.752
O 0.741 0.333 0.748
O 0.418 0.312 0.243
O 0.819 0.141 0.421
O 0.592 0.158 0.088
O 0.081 0.460 0.254
O 0.984 0.153 0.592
O 0.946 0.372 0.647
O 0.234 0.097 0.647
O 0.844 0.537 0.533
O 0.252 0.356 0.423
O 0.319 0.495 0.920
O 0.583 0.190 0.692
O 0.240 0.148 0.247
O 0.418 0.316 0.527
O 0.649 0.836 0.251
O 0.925 0.310 0.246
O 0.916 0.036 0.809
O 0.081 0.191 0.407
O 0.178 0.867 0.860
O 0.918 0.523 0.744
O 0.406 0.841 0.194
O 0.743 0.108 0.642
O 0.110 0.193 0.803
O 0.814 0.500 0.923
O 0.513 0.194 0.911
O 0.656 0.834 0.972
O 0.580 0.679 0.469
O 0.170 0.499 0.073
O 0.259 0.846 0.468
O 0.174 0.849 0.571
O 0.487 0.165 0.585
O 0.511 0.813 0.698
O 0.751 0.141 0.923
O 0.736 0.373 0.147
O 0.412 0.519 0.030
O 0.146 0.815 0.258
O 0.260 0.827 0.758
O 0.571 0.503 0.861
O 0.822 0.537 0.640
O 0.258 0.869 0.361
O 0.914 0.801 0.586
O 0.161 0.840 0.976
O 0.242 0.379 0.142
O 0.733 0.150 0.244
O 0.257 0.860 0.076
O 0.916 0.816 0.307
O 0.582 0.189 0.418
O 0.580 0.697 0.756
O 0.581 0.971 0.909
O 0.735 0.163 0.526
O 0.913 0.306 0.530
O 0.425 0.482 0.421
O 0.759 0.655 0.577
O 0.157 0.477 0.471
O 0.893 0.811 0.918
O 0.992 0.186 0.303
O 0.680 0.860 0.857
O 0.743 0.313 0.031
O 0.267 0.690 0.972
O 0.904 0.827 0.192
O 0.427 0.362 0.926
O 0.495 0.803 0.806
O 0.072 0.659 0.075
O 0.768 0.839 0.473
O 0.595 0.169 0.808
O 0.757 0.366 0.426
O 0.453 0.386 0.643
O 0.081 0.975 0.919
O 0.407 0.837 0.909
O 0.348 0.531 0.528
O 0.509 0.831 0.416
O 0.987 0.796 0.808
O 0.073 0.488 0.574
O 0.082 0.688 0.474
O 0.011 0.205 0.196
O 0.581 0.501 0.572
O 0.920 0.024 0.091
O 0.250 0.642 0.858
O 0.091 0.161 0.091
O 0.092 0.206 0.697
O 0.090 0.022 0.589
O 0.013 0.832 0.411
O 0.680 0.488 0.359
O 0.582 0.475 0.975
O 0.675 0.849 0.571
O 0.404 0.983 0.692
O 0.180 0.499 0.357
O 0.320 0.103 0.139
O 0.662 0.484 0.473
O 0.309 0.507 0.644
O 0.843 0.516 0.249
O 0.592 0.979 0.195
O 0.071 0.640 0.360
O 0.417 0.800 0.308
O 0.760 0.691 0.256
O 0.762 0.812 0.758
O 0.567 0.642 0.355
O 0.420 0.812 0.593
O 0.905 0.969 0.695
Si 0.356 0.713 0.253
Si 0.001 0.711 0.751
Si 0.856 0.998 0.753
Si 0.022 0.659 0.418
Si 0.834 0.042 0.085
Si 0.642 0.286 0.749
Si 0.187 0.039 0.584
Si 0.357 0.004 0.750
Si 0.857 0.710 0.251
Si 0.482 0.344 0.582
Si 0.018 0.374 0.914
Si 0.811 0.951 0.416
Si 0.975 0.327 0.587
Si 0.664 0.947 0.915
Si 0.501 0.292 0.250
Si 0.186 0.336 0.084
Si 0.667 0.372 0.420
Si 0.333 0.624 0.587
Si 0.168 0.378 0.416
Si 0.522 0.385 0.918
Si 0.142 0.995 0.250
Si 0.516 0.661 0.414
Si 0.687 0.335 0.085
Si 0.166 0.961 0.921
Si 0.687 0.039 0.584
Si 0.313 0.670 0.913
Si 0.474 0.622 0.086
In 0.829 0.318 0.686
In 0.338 0.330 0.679
In 0.834 0.341 0.182
In 0.001 0.999 0.858
In 0.328 0.340 0.187
In 0.500 0.003 0.358
S 0.646 0.998 0.249
S 0.331 0.037 0.083
S 0.306 0.953 0.418
S 0.807 0.658 0.918
S 0.832 0.626 0.583
S 0.983 0.630 0.082
S 0.000 0.285 0.251
S 0.498 0.715 0.752
S 0.147 0.295 0.749
Nb 0.997 0.991 0.643
Nb 0.164 0.660 0.312
Nb 0.002 0.987 0.359
Nb 0.828 0.310 0.977
Nb 0.498 0.002 0.143
Nb 0.330 0.347 0.976
Nb 0.169 0.658 0.014
Nb 0.660 0.665 0.024
Nb 0.830 0.312 0.477
Nb 0.160 0.653 0.524
Nb 0.668 0.655 0.317
Nb 0.661 0.665 0.809
Nb 0.502 0.018 0.858
Nb 0.168 0.681 0.815
Nb 0.334 0.346 0.482
Nb 0.498 0.016 0.638
Nb 0.000 0.995 0.144
Nb 0.662 0.670 0.516
```

The following is a DFT calculation (PBE-GGA) of a relaxed Pu5Os3 crystal. Values from VASP.

Geometry as Quantum ESPRESSO input:
```
&SYSTEM
  ibrav = 0, nat = 16, ntyp = 2
/
ATOMIC_SPECIES
Pu 244.00 Pu.upf
Os 190.23 Os.upf
CELL_PARAMETERS angstrom
8.176 0.543 -0.796
-5.718 -3.871 4.483
-1.346 -4.129 -6.994
ATOMIC_POSITIONS crystal
Pu 0.781 0.087 0.868
Pu 0.087 0.219 0.306
Pu 0.250 0.750 0.500
Pu 0.219 0.913 0.132
Pu 0.587 0.281 0.868
Pu 0.413 0.719 0.132
Pu 0.281 0.413 0.694
Pu 0.913 0.781 0.694
Pu 0.750 0.250 0.500
Pu 0.719 0.587 0.306
Os 0.750 0.750 0.000
Os 0.650 0.850 0.500
Os 0.150 0.650 0.801
Os 0.850 0.350 0.199
Os 0.250 0.250 0.000
Os 0.350 0.150 0.500
```

The following is a DFT calculation (PBE-GGA) of a relaxed Sr4CuO2 crystal. Values from VASP.

Geometry as Quantum ESPRESSO input:
```
&SYSTEM
  ibrav = 0, nat = 14, ntyp = 3
/
ATOMIC_SPECIES
O 16.00 O.upf
Sr 87.62 Sr.upf
Cu 63.55 Cu.upf
CELL_PARAMETERS angstrom
-0.506 7.001 -1.433
-3.911 0.931 5.929
9.880 -2.426 2.570
ATOMIC_POSITIONS crystal
O 0.625 0.875 0.750
O 0.125 0.875 0.250
O 0.125 0.375 0.250
O 0.125 0.875 0.750
Sr 0.327 0.605 0.210
Sr 0.367 0.145 0.290
Sr 0.395 0.673 0.790
Sr 0.923 0.145 0.290
Sr 0.395 0.117 0.790
Sr 0.883 0.605 0.210
Sr 0.855 0.633 0.710
Sr 0.855 0.077 0.710
Cu 0.250 0.750 0.500
Cu 0.000 0.000 0.000
```

The following is a DFT calculation (PBE-GGA) of a relaxed Ba2CaEu2Ti3Cu2O14 crystal. Values from VASP.

Geometry as Quantum ESPRESSO input:
```
&SYSTEM
  ibrav = 0, nat = 24, ntyp = 6
/
ATOMIC_SPECIES
Ti 47.87 Ti.upf
O 16.00 O.upf
Ca 40.08 Ca.upf
Ba 137.33 Ba.upf
Cu 63.55 Cu.upf
Eu 151.96 Eu.upf
CELL_PARAMETERS angstrom
3.913 0.000 0.000
0.000 3.913 0.000
0.000 0.000 19.910
ATOMIC_POSITIONS crystal
Ti 0.000 0.000 0.300
Ti 0.000 0.000 0.503
Ti 0.000 0.000 0.700
O 0.000 0.000 0.402
O 0.500 0.000 0.691
O 0.500 0.000 0.924
O 0.000 0.000 0.596
O 0.500 0.000 0.076
O 0.000 0.500 0.691
O 0.000 0.500 0.309
O 0.000 0.500 0.076
O 0.500 0.000 0.309
O 0.000 0.000 0.794
O 0.000 0.500 0.924
O 0.000 0.000 0.206
O 0.000 0.500 0.497
O 0.500 0.000 0.497
Ca 0.500 0.500 0.607
Ba 0.500 0.500 0.189
Ba 0.500 0.500 0.808
Cu 0.000 0.000 0.912
Cu 0.000 0.000 0.087
Eu 0.500 0.500 0.000
Eu 0.500 0.500 0.402
```

The following is a DFT calculation (PBE-GGA) of a relaxed VCl4 crystal. Values from VASP.

Geometry as Quantum ESPRESSO input:
```
&SYSTEM
  ibrav = 0, nat = 20, ntyp = 2
/
ATOMIC_SPECIES
Cl 35.45 Cl.upf
V 50.94 V.upf
CELL_PARAMETERS angstrom
6.599 0.000 0.000
0.000 12.864 0.000
0.000 6.418 11.841
ATOMIC_POSITIONS crystal
Cl 0.925 0.196 0.896
Cl 0.075 0.804 0.104
Cl 0.075 0.696 0.896
Cl 0.083 0.011 0.226
Cl 0.377 0.579 0.311
Cl 0.917 0.989 0.774
Cl 0.925 0.304 0.104
Cl 0.377 0.921 0.689
Cl 0.083 0.489 0.774
Cl 0.623 0.079 0.311
Cl 0.920 0.663 0.385
Cl 0.920 0.837 0.615
Cl 0.080 0.163 0.385
Cl 0.080 0.337 0.615
Cl 0.917 0.511 0.226
Cl 0.623 0.421 0.689
V 0.927 0.139 0.257
V 0.073 0.861 0.743
V 0.073 0.639 0.257
V 0.927 0.361 0.743
```

Number 1: final energy -3.888 eV/atom. Number 2: final energy -7.331 eV/atom. Number 3: final energy -13.040 eV/atom. Number 4: final energy -4.004 eV/atom. Number 5: final energy -7.903 eV/atom. Number 6: final energy -4.439 eV/atom.